Entry 1:
# NaNd9Si6O26 | the Materials Project | PBE-GGA | relaxed
# Calculated formation energy ... -3.634 eV/atom
# Magnetization ... 0.00 Bohr magnetons per cell
data_NaNd9Si6O26
_symmetry_space_group_name_H-M 'P 3'
_symmetry_Int_Tables_number 143
_cell_length_a 9.6523
_cell_length_b 9.6523
_cell_length_c 7.1064
_cell_angle_alpha 90.00
_cell_angle_beta 90.00
_cell_angle_gamma 120.00
loop_
_symmetry_equiv_pos_as_xyz
'x,y,z'
'-y,x-y,z'
'-x+y,-x,z'
loop_
_atom_site_label
_atom_site_type_symbol
_atom_site_fract_x
_atom_site_fract_y
_atom_site_fract_z
_atom_site_occupancy
Na1 Na 0.0000 0.0000 0.0000 1
Nd1 Nd 0.0000 0.0000 0.5031 1
Nd2 Nd 0.3333 0.6667 0.0047 1
Nd3 Nd 0.3333 0.6667 0.5043 1
Nd4 Nd 0.4218 0.3222 0.7566 1
Nd5 Nd 0.4331 0.0932 0.2530 1
Si1 Si 0.0383 0.7350 0.2554 1
Si2 Si 0.0659 0.3630 0.7522 1
O1 O 0.0142 0.4285 0.9398 1
O2 O 0.0159 0.4349 0.5686 1
O3 O 0.0704 0.2117 0.2643 1
O4 O 0.1580 0.6584 0.2544 1
O5 O 0.1883 0.0177 0.7450 1
O6 O 0.1968 0.7359 0.7549 1
O7 O 0.3237 0.2425 0.4412 1
O8 O 0.3410 0.2552 0.0768 1
O9 O 0.6667 0.3333 0.2616 1
O10 O 0.6667 0.3333 0.7563 1



Entry 2:
# Li3Rh | the Materials Project | PBE-GGA | relaxed
# Calculated formation energy ... -0.060 eV/atom
data_Li3Rh
_symmetry_space_group_name_H-M 'P 63/m m c'
_symmetry_Int_Tables_number 194
_symmetry_space_group_name_Hall '-P 6c 2c'
_cell_length_a 5.3598
_cell_length_b 5.3598
_cell_length_c 4.4810
_cell_angle_alpha 90.00
_cell_angle_beta 90.00
_cell_angle_gamma 120.00
loop_
_atom_site_label
_atom_site_type_symbol
_atom_site_fract_x
_atom_site_fract_y
_atom_site_fract_z
_atom_site_occupancy
Li1 Li 0.1744 0.3489 0.2500 1
Rh1 Rh 0.3333 0.6667 0.7500 1



Entry 3:
# CuPbO3 | the Materials Project | PBE-GGA | relaxed
# Calculated formation energy ... -0.918 eV/atom
# Magnetization ... 0.00 Bohr magnetons per cell
data_CuPbO3
_symmetry_space_group_name_H-M 'P m -3 m'
_symmetry_Int_Tables_number 221
_symmetry_space_group_name_Hall '-P 4 2 3'
_cell_length_a 3.873
_cell_length_b 3.873
_cell_length_c 3.873
_cell_angle_alpha 90.00
_cell_angle_beta 90.00
_cell_angle_gamma 90.00
loop_
_atom_site_label
_atom_site_type_symbol
_atom_site_fract_x
_atom_site_fract_y
_atom_site_fract_z
_atom_site_occupancy
Cu1 Cu 0.000 0.000 0.000 1
Pb1 Pb 0.500 0.500 0.500 1
O1 O 0.000 0.000 0.500 1



Entry 4:
# NaLiCdS2 | the Materials Project | PBE-GGA | relaxed
# Maximum piezoelectric response ... 0.870 C/m2
# Calculated formation energy ... -1.199 eV/atom
# Magnetization ... 0.00 Bohr magnetons per cell
data_NaLiCdS2
_symmetry_space_group_name_H-M 'P 3 m 1'
_symmetry_Int_Tables_number 156
_cell_length_a 4.1573
_cell_length_b 4.1573
_cell_length_c 7.0420
_cell_angle_alpha 90.00
_cell_angle_beta 90.00
_cell_angle_gamma 120.00
loop_
_symmetry_equiv_pos_as_xyz
'x,y,z'
'-y,x-y,z'
'-x+y,-x,z'
'-y,-x,z'
'-x+y,y,z'
'x,x-y,z'
loop_
_atom_site_label
_atom_site_type_symbol
_atom_site_fract_x
_atom_site_fract_y
_atom_site_fract_z
_atom_site_occupancy
Na1 Na 0.0000 0.0000 0.0000 1
Li1 Li 0.3333 0.6667 0.6860 1
Cd1 Cd 0.6667 0.3333 0.4092 1
S1 S 0.3333 0.6667 0.2721 1
S2 S 0.6667 0.3333 0.7677 1